Entry 1:
VASP calculation (GGA+U) on a relaxed Sr2V4Te2H2O17 crystal.

The formation energy comes out at -2.2761 eV per atom. As for the crystal system: monoclinic. As for the space-group type: C2/c (15). The calculation puts the MP2020-corrected energy at -198.4 eV per formula unit. The uncorrected energy is -6.66 eV per atom.

Cell: 10.9797 10.9797 16.5609 Å, 117.77 117.77 27.47°
With the nearest neighbours (Å) after each atom.
Fractional coordinates of all 54 atoms:
Sr (0.1279, 0.8355, 0.6180)  6 O 2.48-2.74
Sr (0.1645, 0.8721, 0.8820)  6 O 2.48-2.74
Sr (0.8355, 0.1279, 0.1180)  6 O 2.48-2.74
Sr (0.8721, 0.1645, 0.3820)  6 O 2.48-2.74
V (0.1935, 0.4549, 0.0105)  2 O 1.66-1.70
V (0.2448, 0.4991, 0.3586)  4 O 1.69-1.81
V (0.4549, 0.1935, 0.5105)  2 O 1.66-1.70
V (0.4991, 0.2448, 0.8586)  4 O 1.69-1.81
V (0.5009, 0.7552, 0.1414)  4 O 1.69-1.81
V (0.5451, 0.8065, 0.4895)  2 O 1.66-1.70
V (0.7552, 0.5009, 0.6414)  4 O 1.69-1.81
V (0.8065, 0.5451, 0.9895)  2 O 1.66-1.70
Te (0.0893, 0.2477, 0.3153)  3 O 1.86-2.03
Te (0.2477, 0.0893, 0.8153)  3 O 1.86-2.03
Te (0.7523, 0.9107, 0.1847)  3 O 1.86-2.03
Te (0.9107, 0.7523, 0.6847)  3 O 1.86-2.03
H (0.3432, 0.5750, 0.2315)  1 O 0.99
H (0.4250, 0.6568, 0.2685)  1 O 0.99
H (0.5750, 0.3432, 0.7315)  1 O 0.99
H (0.6568, 0.4250, 0.7685)  1 O 0.99
O (0.9996, 0.3687, 0.7422)  1 V 1.81, 1 Te 1.96
O (0.0004, 0.6313, 0.2578)  1 V 1.81, 1 Te 1.96
O (0.0454, 0.1065, 0.7814)  1 Te 1.86, 1 H 1.96
O (0.0500, 0.7236, 0.0205)  1 V 1.66
O (0.0653, 0.3679, 0.9277)  2 V 1.99-2.04, 1 Te 2.03
O (0.1065, 0.0454, 0.2814)  1 Te 1.86, 1 H 1.96
O (0.1673, 0.7275, 0.4330)  1 V 1.69
O (0.2426, 0.5484, 0.8248)  1 V 1.72
O (0.2573, 0.3744, 0.4078)  2 V 1.78-1.90
O (0.2617, 0.4644, 0.5915)  1 V 1.70
O (0.2725, 0.8327, 0.0670)  1 V 1.69
O (0.2764, 0.9500, 0.4795)  1 V 1.66
O (0.3679, 0.0653, 0.4277)  2 V 1.99-2.04, 1 Te 2.03
O (0.3687, 0.9996, 0.2422)  1 V 1.81, 1 Te 1.96
O (0.3744, 0.2573, 0.9078)  2 V 1.78-1.90
O (0.4516, 0.7574, 0.6752)  1 V 1.72
O (0.4644, 0.2617, 0.0915)  1 V 1.70
O (0.4989, 0.5011, 0.7500)  2 H 0.99
O (0.5011, 0.4989, 0.2500)  2 H 0.99
O (0.5356, 0.7383, 0.9085)  1 V 1.70
O (0.5484, 0.2426, 0.3248)  1 V 1.72
O (0.6256, 0.7427, 0.0922)  2 V 1.78-1.90
O (0.6313, 0.0004, 0.7578)  1 V 1.81, 1 Te 1.96
O (0.6321, 0.9347, 0.5723)  2 V 1.99-2.04, 1 Te 2.03
O (0.7236, 0.0500, 0.5205)  1 V 1.66
O (0.7275, 0.1673, 0.9330)  1 V 1.69
O (0.7383, 0.5356, 0.4085)  1 V 1.70
O (0.7427, 0.6256, 0.5922)  2 V 1.78-1.90
O (0.7574, 0.4516, 0.1752)  1 V 1.72
O (0.8327, 0.2725, 0.5670)  1 V 1.69
O (0.8935, 0.9546, 0.7186)  1 Te 1.86, 1 H 1.96
O (0.9347, 0.6321, 0.0723)  2 V 1.99-2.04, 1 Te 2.03
O (0.9500, 0.2764, 0.9795)  1 V 1.66
O (0.9546, 0.8935, 0.2186)  1 Te 1.86, 1 H 1.96



Entry 2:
VASP calculation (GGA+U) on a relaxed SrV2H8O10 crystal.

The formation energy comes out at -1.8612 eV per atom. As for the crystal system: monoclinic. As for the space-group type: C2/c (15). The calculation puts the MP2020-corrected energy at -135.6 eV per formula unit. The uncorrected energy is -5.97 eV per atom.

Cell: 10.8030 10.8030 14.8051 Å, 120.77 120.77 39.35°
With the nearest neighbours (Å) after each atom.
Fractional coordinates of all 84 atoms:
Sr (0.1820, 0.2179, 0.4606)  8 O 2.56-2.81
Sr (0.2179, 0.1820, 0.9606)  8 O 2.56-2.81
Sr (0.7821, 0.8180, 0.0394)  8 O 2.56-2.81
Sr (0.8180, 0.7821, 0.5394)  8 O 2.56-2.81
V (0.4089, 0.4419, 0.8829)  2 O 1.68-1.69
V (0.4176, 0.4357, 0.6328)  2 O 1.66-1.69
V (0.4357, 0.4176, 0.1328)  2 O 1.66-1.69
V (0.4419, 0.4089, 0.3829)  2 O 1.68-1.69
V (0.5581, 0.5911, 0.6171)  2 O 1.68-1.69
V (0.5643, 0.5824, 0.8672)  2 O 1.66-1.69
V (0.5824, 0.5643, 0.3672)  2 O 1.66-1.69
V (0.5911, 0.5581, 0.1171)  2 O 1.68-1.69
H (0.0009, 0.9070, 0.2862)  1 O 0.97
H (0.0278, 0.1615, 0.0485)  1 O 0.99
H (0.0581, 0.5344, 0.7169)  1 O 0.99
H (0.0593, 0.7675, 0.4691)  1 O 0.98
H (0.0636, 0.5192, 0.8800)  1 O 1.00
H (0.0854, 0.5096, 0.1823)  1 O 0.99
H (0.0879, 0.4957, 0.3506)  1 O 0.99
H (0.0930, 0.9991, 0.2138)  1 O 0.97
H (0.0941, 0.7700, 0.7688)  1 O 0.98
H (0.1615, 0.0278, 0.5485)  1 O 0.99
H (0.2300, 0.9059, 0.7312)  1 O 0.98
H (0.2325, 0.9407, 0.0309)  1 O 0.98
H (0.4656, 0.9419, 0.7831)  1 O 0.99
H (0.4808, 0.9364, 0.6200)  1 O 1.00
H (0.4904, 0.9146, 0.3177)  1 O 0.99
H (0.4957, 0.0879, 0.8506)  1 O 0.99
H (0.5043, 0.9121, 0.1494)  1 O 0.99
H (0.5096, 0.0854, 0.6823)  1 O 0.99
H (0.5192, 0.0636, 0.3800)  1 O 1.00
H (0.5344, 0.0581, 0.2169)  1 O 0.99
H (0.7675, 0.0593, 0.9691)  1 O 0.98
H (0.7700, 0.0941, 0.2688)  1 O 0.98
H (0.8385, 0.9722, 0.4515)  1 O 0.99
H (0.9059, 0.2300, 0.2312)  1 O 0.98
H (0.9070, 0.0009, 0.7862)  1 O 0.97
H (0.9121, 0.5043, 0.6494)  1 O 0.99
H (0.9146, 0.4904, 0.8177)  1 O 0.99
H (0.9364, 0.4808, 0.1200)  1 O 1.00
H (0.9407, 0.2325, 0.5309)  1 O 0.98
H (0.9419, 0.4656, 0.2831)  1 O 0.99
H (0.9722, 0.8385, 0.9515)  1 O 0.99
H (0.9991, 0.0930, 0.7138)  1 O 0.97
O (0.0095, 0.4857, 0.3577)  2 H 0.99
O (0.0091, 0.4949, 0.1095)  2 H 0.99-1.00
O (0.0446, 0.1257, 0.2641)  2 H 0.97-0.98
O (0.0574, 0.1192, 0.4983)  2 H 0.98-0.99
O (0.1192, 0.0574, 0.9983)  2 H 0.98-0.99
O (0.1257, 0.0446, 0.7641)  2 H 0.97-0.98
O (0.1661, 0.5689, 0.8587)  1 V 1.69, 2 H 1.75-1.81
O (0.1900, 0.6072, 0.1151)  1 V 1.66
O (0.1980, 0.5395, 0.3259)  1 V 1.68, 2 H 1.81-1.83
O (0.2046, 0.4865, 0.5693)  1 V 1.69
O (0.3928, 0.8100, 0.3849)  1 V 1.66
O (0.3971, 0.5149, 0.7806)  3 V 1.95-2.04, 1 H 2.07
O (0.4219, 0.4939, 0.5297)  3 V 1.93-2.00
O (0.4311, 0.8339, 0.6413)  1 V 1.69, 2 H 1.75-1.81
O (0.4605, 0.8020, 0.1741)  1 V 1.68, 2 H 1.81-1.83
O (0.4851, 0.6029, 0.7194)  3 V 1.95-2.04, 1 H 2.07
O (0.4857, 0.0095, 0.8577)  2 H 0.99
O (0.4865, 0.2046, 0.0693)  1 V 1.69
O (0.4939, 0.4219, 0.0297)  3 V 1.93-2.00
O (0.4949, 0.0091, 0.6095)  2 H 0.99-1.00
O (0.5051, 0.9909, 0.3905)  2 H 0.99-1.00
O (0.5061, 0.5781, 0.9703)  3 V 1.93-2.00
O (0.5135, 0.7954, 0.9307)  1 V 1.69
O (0.5143, 0.9905, 0.1423)  2 H 0.99
O (0.5149, 0.3971, 0.2806)  3 V 1.95-2.04, 1 H 2.07
O (0.5395, 0.1980, 0.8259)  1 V 1.68, 2 H 1.81-1.83
O (0.5689, 0.1661, 0.3587)  1 V 1.69, 2 H 1.75-1.81
O (0.5781, 0.5061, 0.4703)  3 V 1.93-2.00
O (0.6029, 0.4851, 0.2194)  3 V 1.95-2.04, 1 H 2.07
O (0.6072, 0.1900, 0.6151)  1 V 1.66
O (0.7954, 0.5135, 0.4307)  1 V 1.69
O (0.8020, 0.4605, 0.6741)  1 V 1.68, 2 H 1.81-1.83
O (0.8100, 0.3928, 0.8849)  1 V 1.66
O (0.8339, 0.4311, 0.1413)  1 V 1.69, 2 H 1.75-1.81
O (0.8743, 0.9554, 0.2359)  2 H 0.97-0.98
O (0.8808, 0.9426, 0.0017)  2 H 0.98-0.99
O (0.9426, 0.8808, 0.5017)  2 H 0.98-0.99
O (0.9554, 0.8743, 0.7359)  2 H 0.97-0.98
O (0.9909, 0.5051, 0.8905)  2 H 0.99-1.00
O (0.9905, 0.5143, 0.6423)  2 H 0.99



Entry 3:
VASP calculation (GGA+U) on a relaxed Sr2V3HO9 crystal.

The formation energy comes out at -2.7133 eV per atom. As for the crystal system: monoclinic. As for the space-group type: P2_1/m (11). The calculation puts the MP2020-corrected energy at -119.3 eV per formula unit. The uncorrected energy is -7.20 eV per atom.

Cell: 7.7183 6.2302 8.8900 Å, 90.00 111.62 90.00°
With the nearest neighbours (Å) after each atom.
Fractional coordinates of all 30 atoms:
Sr (0.1733, 0.2500, 0.0912)  6 O 2.52-2.79
Sr (0.2355, 0.7500, 0.7486)  7 O 2.59-2.91
Sr (0.7645, 0.2500, 0.2514)  7 O 2.59-2.91
Sr (0.8267, 0.7500, 0.9088)  6 O 2.52-2.79
V (0.0578, 0.7500, 0.3224)  4 O 1.71-1.82
V (0.4618, 0.7500, 0.1595)  4 O 1.70-1.79
V (0.5000, 0.0000, 0.5000)  6 O 2.01-2.09
V (0.5000, 0.5000, 0.5000)  6 O 2.01-2.09
V (0.5382, 0.2500, 0.8405)  4 O 1.70-1.79
V (0.9422, 0.2500, 0.6776)  4 O 1.71-1.82
H (0.2180, 0.2500, 0.4657)  1 O 1.01
H (0.7820, 0.7500, 0.5343)  1 O 1.01
O (0.0097, 0.0259, 0.8012)  1 V 1.73
O (0.0097, 0.4741, 0.8012)  1 V 1.73
O (0.0457, 0.2500, 0.5371)  1 H 1.67, 1 V 1.71
O (0.2304, 0.7500, 0.0425)  1 V 1.70
O (0.3067, 0.7500, 0.4417)  1 V 1.82
O (0.3194, 0.2500, 0.4199)  1 H 1.01
O (0.4203, 0.2500, 0.9690)  1 V 1.70
O (0.4848, 0.0100, 0.7210)  1 V 1.79
O (0.4848, 0.4900, 0.7210)  1 V 1.79
O (0.5152, 0.5100, 0.2790)  1 V 1.79
O (0.5152, 0.9900, 0.2790)  1 V 1.79
O (0.5797, 0.7500, 0.0310)  1 V 1.70
O (0.6806, 0.7500, 0.5801)  1 H 1.01
O (0.6933, 0.2500, 0.5583)  1 V 1.82
O (0.7696, 0.2500, 0.9575)  1 V 1.70
O (0.9543, 0.7500, 0.4629)  1 H 1.67, 1 V 1.71
O (0.9903, 0.5259, 0.1988)  1 V 1.73
O (0.9903, 0.9741, 0.1988)  1 V 1.73



Entry 4:
VASP calculation (GGA+U) on a relaxed Sr5V3HO13 crystal.

The formation energy comes out at -2.9581 eV per atom. As for the crystal system: hexagonal. As for the space-group type: P6_3 (173). The calculation puts the MP2020-corrected energy at -168.5 eV per formula unit. The uncorrected energy is -7.02 eV per atom.

Cell: 10.2307 10.2307 7.4918 Å, 90.00 90.00 120.00°
With the nearest neighbours (Å) after each atom.
Fractional coordinates of all 44 atoms:
Sr (0.0056, 0.2524, 0.0000)  6 O 2.53-2.67
Sr (0.2469, 0.9944, 0.0000)  6 O 2.53-2.67
Sr (0.2524, 0.2469, 0.5000)  6 O 2.53-2.67
Sr (0.3333, 0.6667, 0.2481)  6 O 2.59-2.63
Sr (0.3333, 0.6667, 0.7502)  6 O 2.59-2.64
Sr (0.6667, 0.3333, 0.2502)  6 O 2.59-2.64
Sr (0.6667, 0.3333, 0.7481)  6 O 2.59-2.63
Sr (0.7476, 0.7531, 0.0000)  6 O 2.53-2.67
Sr (0.7531, 0.0056, 0.5000)  6 O 2.53-2.67
Sr (0.9944, 0.7476, 0.5000)  6 O 2.53-2.67
V (0.0305, 0.3981, 0.4996)  4 O 1.73-1.75
V (0.3676, 0.9695, 0.4996)  4 O 1.73-1.75
V (0.3981, 0.3676, 0.9996)  4 O 1.73-1.75
V (0.6019, 0.6324, 0.4996)  4 O 1.73-1.75
V (0.6324, 0.0305, 0.9996)  4 O 1.73-1.75
V (0.9695, 0.6019, 0.9996)  4 O 1.73-1.75
H (0.0000, 0.0000, 0.1764)  1 O 0.98
H (0.0000, 0.0000, 0.6764)  1 O 0.98
O (0.0000, 0.0000, 0.0457)  1 H 0.98
O (0.0000, 0.0000, 0.5457)  1 H 0.98
O (0.0914, 0.3397, 0.3157)  1 V 1.74
O (0.0921, 0.3421, 0.6844)  1 V 1.73
O (0.1283, 0.5959, 0.4989)  1 V 1.75
O (0.1656, 0.6808, 0.9995)  1 V 1.75
O (0.2484, 0.9086, 0.3157)  1 V 1.74
O (0.2500, 0.9079, 0.6844)  1 V 1.73
O (0.3192, 0.4848, 0.9995)  1 V 1.75
O (0.3397, 0.2484, 0.8157)  1 V 1.74
O (0.3421, 0.2500, 0.1844)  1 V 1.73
O (0.4041, 0.5324, 0.4989)  1 V 1.75
O (0.4676, 0.8717, 0.4989)  1 V 1.75
O (0.4848, 0.1656, 0.4995)  1 V 1.75
O (0.5152, 0.8344, 0.9995)  1 V 1.75
O (0.5324, 0.1283, 0.9989)  1 V 1.75
O (0.5959, 0.4676, 0.9989)  1 V 1.75
O (0.6579, 0.7500, 0.6844)  1 V 1.73
O (0.6603, 0.7516, 0.3157)  1 V 1.74
O (0.6808, 0.5152, 0.4995)  1 V 1.75
O (0.7500, 0.0921, 0.1844)  1 V 1.73
O (0.7516, 0.0914, 0.8157)  1 V 1.74
O (0.8344, 0.3192, 0.4995)  1 V 1.75
O (0.8717, 0.4041, 0.9989)  1 V 1.75
O (0.9079, 0.6579, 0.1844)  1 V 1.73
O (0.9086, 0.6603, 0.8157)  1 V 1.74



Entry 5:
VASP calculation (GGA+U) on a relaxed Ti2VHO6 crystal.

The formation energy comes out at -2.9066 eV per atom. As for the crystal system: monoclinic. As for the space-group type: P2_1/c (14). The calculation puts the MP2020-corrected energy at -87.0 eV per formula unit. The uncorrected energy is -8.12 eV per atom.

Cell: 8.6542 4.6312 10.1026 Å, 90.00 92.88 90.00°
With the nearest neighbours (Å) after each atom.
Fractional coordinates of all 40 atoms:
Ti (0.0959, 0.0000, 0.3802)  5 O 1.88-2.07
Ti (0.0959, 0.5000, 0.8802)  5 O 1.88-2.07
Ti (0.2246, 0.0247, 0.1208)  5 O 1.82-2.02
Ti (0.2246, 0.4753, 0.6208)  5 O 1.82-2.02
Ti (0.7754, 0.5247, 0.3792)  5 O 1.82-2.02
Ti (0.7754, 0.9753, 0.8792)  5 O 1.82-2.02
Ti (0.9041, 0.0000, 0.6198)  5 O 1.88-2.07
Ti (0.9041, 0.5000, 0.1198)  5 O 1.88-2.07
V (0.4086, 0.5088, 0.3513)  6 O 1.97-2.15
V (0.4086, 0.9912, 0.8513)  6 O 1.97-2.15
V (0.5914, 0.0088, 0.1487)  6 O 1.97-2.15
V (0.5914, 0.4912, 0.6487)  6 O 1.97-2.15
H (0.4061, 0.5764, 0.0555)  1 O 0.98
H (0.4061, 0.9236, 0.5555)  1 O 0.98
H (0.5939, 0.0764, 0.4445)  1 O 0.98
H (0.5939, 0.4236, 0.9445)  1 O 0.98
O (0.0740, 0.2197, 0.2040)  1 Ti 1.82
O (0.0740, 0.2803, 0.7040)  1 Ti 1.82
O (0.0903, 0.7098, 0.0414)  3 Ti 1.90-2.07
O (0.0903, 0.7902, 0.5414)  3 Ti 1.90-2.07
O (0.2391, 0.2129, 0.9495)  2 Ti 1.93-1.95, 1 V 2.08
O (0.2391, 0.2871, 0.4495)  2 Ti 1.93-1.95, 1 V 2.08
O (0.2431, 0.7037, 0.7860)  2 Ti 1.88-1.98, 1 V 2.04
O (0.2431, 0.7963, 0.2860)  2 Ti 1.88-1.98, 1 V 2.04
O (0.4082, 0.2484, 0.1967)  2 V 1.97-2.01, 1 Ti 2.02, 1 H 2.08
O (0.4082, 0.2516, 0.6967)  2 V 1.97-2.01, 1 Ti 2.02, 1 H 2.08
O (0.4157, 0.7148, 0.5421)  1 H 0.98
O (0.4157, 0.7852, 0.0421)  1 H 0.98
O (0.5843, 0.2148, 0.9579)  1 H 0.98
O (0.5843, 0.2852, 0.4579)  1 H 0.98
O (0.5918, 0.7484, 0.3033)  2 V 1.97-2.01, 1 Ti 2.02, 1 H 2.08
O (0.5918, 0.7516, 0.8033)  2 V 1.97-2.01, 1 Ti 2.02, 1 H 2.08
O (0.7569, 0.2037, 0.7140)  2 Ti 1.88-1.98, 1 V 2.04
O (0.7569, 0.2963, 0.2140)  2 Ti 1.88-1.98, 1 V 2.04
O (0.7609, 0.7129, 0.5505)  2 Ti 1.93-1.95, 1 V 2.08
O (0.7609, 0.7871, 0.0505)  2 Ti 1.93-1.95, 1 V 2.08
O (0.9097, 0.2098, 0.4586)  3 Ti 1.90-2.07
O (0.9097, 0.2902, 0.9586)  3 Ti 1.90-2.07
O (0.9260, 0.7197, 0.2960)  1 Ti 1.82
O (0.9260, 0.7803, 0.7960)  1 Ti 1.82



Entry 6:
VASP calculation (GGA+U) on a relaxed UVH3O7 crystal.

The formation energy comes out at -2.3202 eV per atom. As for the crystal system: monoclinic. As for the space-group type: P2_1/c (14). The calculation puts the MP2020-corrected energy at -93.0 eV per formula unit. The uncorrected energy is -7.21 eV per atom.

Cell: 6.9662 8.2964 10.5881 Å, 90.00 109.43 90.00°
With the nearest neighbours (Å) after each atom.
Fractional coordinates of all 48 atoms:
U (0.0157, 0.0174, 0.3236)  2 O 1.83-1.84
U (0.0157, 0.4826, 0.8236)  2 O 1.83-1.84
U (0.9843, 0.5174, 0.1764)  2 O 1.83-1.84
U (0.9843, 0.9826, 0.6764)  2 O 1.83-1.84
V (0.1310, 0.6428, 0.5617)  1 O 1.61
V (0.1310, 0.8572, 0.0617)  1 O 1.61
V (0.8690, 0.1428, 0.9383)  1 O 1.61
V (0.8690, 0.3572, 0.4383)  1 O 1.61
H (0.3669, 0.7369, 0.8150)  1 O 1.06
H (0.3669, 0.7631, 0.3150)  1 O 1.06
H (0.3986, 0.1875, 0.6898)  1 O 1.01
H (0.3986, 0.3125, 0.1898)  1 O 1.01
H (0.4268, 0.2040, 0.5441)  1 O 1.00
H (0.4268, 0.2960, 0.0441)  1 O 1.00
H (0.5732, 0.7040, 0.9559)  1 O 1.00
H (0.5732, 0.7960, 0.4559)  1 O 1.00
H (0.6014, 0.6875, 0.8102)  1 O 1.01
H (0.6014, 0.8125, 0.3102)  1 O 1.01
H (0.6331, 0.2369, 0.6850)  1 O 1.06
H (0.6331, 0.2631, 0.1850)  1 O 1.06
O (0.0274, 0.0555, 0.1108)  2 V 1.93-1.94
O (0.0274, 0.4445, 0.6108)  2 V 1.93-1.94
O (0.0568, 0.6516, 0.0034)  1 V 1.83
O (0.0568, 0.8484, 0.5034)  1 V 1.83
O (0.1432, 0.7128, 0.7368)  1 H 1.52
O (0.1432, 0.7872, 0.2368)  1 H 1.52
O (0.2421, 0.0657, 0.7394)  1 H 1.69, 1 U 1.83
O (0.2421, 0.4343, 0.2394)  1 H 1.69, 1 U 1.83
O (0.2759, 0.0965, 0.3979)  1 H 1.79, 1 U 1.84
O (0.2759, 0.4035, 0.8979)  1 H 1.79, 1 U 1.84
O (0.3658, 0.6239, 0.5708)  1 V 1.61
O (0.3658, 0.8761, 0.0708)  1 V 1.61
O (0.4739, 0.2480, 0.6377)  3 H 1.00-1.06
O (0.4739, 0.2520, 0.1377)  3 H 1.00-1.06
O (0.5261, 0.7480, 0.8623)  3 H 1.00-1.06
O (0.5261, 0.7520, 0.3623)  3 H 1.00-1.06
O (0.6342, 0.1239, 0.9292)  1 V 1.61
O (0.6342, 0.3761, 0.4292)  1 V 1.61
O (0.7241, 0.5965, 0.1021)  1 H 1.79, 1 U 1.84
O (0.7241, 0.9035, 0.6021)  1 H 1.79, 1 U 1.84
O (0.7579, 0.5657, 0.7606)  1 H 1.69, 1 U 1.83
O (0.7579, 0.9343, 0.2606)  1 H 1.69, 1 U 1.83
O (0.8568, 0.2128, 0.7632)  1 H 1.52
O (0.8568, 0.2872, 0.2632)  1 H 1.52
O (0.9432, 0.1516, 0.4966)  1 V 1.83
O (0.9432, 0.3484, 0.9966)  1 V 1.83
O (0.9726, 0.5555, 0.3892)  2 V 1.93-1.94
O (0.9726, 0.9445, 0.8892)  2 V 1.93-1.94



Q: Among the records above, which one has the highest uncorrected energy?
A: SrV2H8O10



Q: Which formula does entry 5 have?
A: Ti2VHO6